# K2Al2B2O7

K2Al2B2O7 after structural relaxation (meta-GGA r2SCAN, the Materials Project).

Results
* total DFT energy (no corrections): -713.834 eV/cell
* ΔH_f (0 K): -2844 meV per atom

a = 14.835 Å, b = 8.573 Å, c = 8.423 Å
α = 90.00°, β = 90.01°, γ = 90.00°
Space group C2 (No. 5)
Unique sites:
K (0.000, 0.000, 0.000) [2 per cell]
K (0.000, 0.042, 0.500) [2 per cell]
K (0.157, 0.528, 0.002) [4 per cell]
K (0.177, 0.509, 0.500) [4 per cell]
Al (0.000, 0.686, 0.297) [4 per cell]
Al (0.167, 0.186, 0.222) [4 per cell]
Al (0.167, 0.187, 0.814) [4 per cell]
B (0.001, 0.353, 0.256) [4 per cell]
B (0.167, 0.854, 0.742) [4 per cell]
B (0.167, 0.855, 0.258) [4 per cell]
O (0.000, 0.684, 0.500) [2 per cell]
O (0.029, 0.501, 0.778) [4 per cell]
O (0.058, 0.229, 0.746) [4 per cell]
O (0.078, 0.824, 0.774) [4 per cell]
O (0.090, 0.326, 0.291) [4 per cell]
O (0.108, 0.736, 0.225) [4 per cell]
O (0.136, 0.002, 0.294) [4 per cell]
O (0.167, 0.185, 0.018) [4 per cell]
O (0.199, 0.003, 0.743) [4 per cell]
O (0.225, 0.733, 0.707) [4 per cell]
O (0.241, 0.329, 0.744) [4 per cell]

***

# LiAlB14

LiAlB14 after structural relaxation (meta-GGA r2SCAN, the Materials Project).

Results
* total DFT energy (no corrections): -460.098 eV/cell
* ΔH_f (0 K): -191 meV per atom

a = 5.841 Å, b = 10.313 Å, c = 8.118 Å
α = 90.00°, β = 90.00°, γ = 90.00°
Space group Imma (No. 74)
Unique sites:
Li (0.000, 0.250, 0.150) [4 per cell]
Al (0.250, 0.250, 0.750) [4 per cell]
B (0.000, 0.086, 0.670) [8 per cell]
B (0.000, 0.150, 0.880) [8 per cell]
B (0.000, 0.167, 0.468) [8 per cell]
B (0.159, 0.062, 0.336) [16 per cell]
B (0.249, 0.080, 0.544) [16 per cell]

***

# LuAlB4

LuAlB4 after structural relaxation (meta-GGA r2SCAN, the Materials Project).

Results
* total DFT energy (no corrections): -310.148 eV/cell
* energy relative to the lowest polymorph listed for this composition: 0 meV per atom
* ΔH_f (0 K): -557 meV per atom

a = 5.884 Å, b = 11.406 Å, c = 3.493 Å
α = 90.00°, β = 90.00°, γ = 90.00°
Space group Pbam (No. 55)
Unique sites:
Lu (0.130, 0.150, 0.000) [4 per cell]
Al (0.138, 0.410, 0.000) [4 per cell]
B (0.025, 0.693, 0.500) [4 per cell]
B (0.115, 0.548, 0.500) [4 per cell]
B (0.133, 0.969, 0.500) [4 per cell]
B (0.209, 0.813, 0.500) [4 per cell]

***

# LuAlB4

LuAlB4 after structural relaxation (meta-GGA r2SCAN, the Materials Project).

Results
* total DFT energy (no corrections): -310.048 eV/cell
* energy relative to the lowest polymorph listed for this composition: 4 meV per atom
* ΔH_f (0 K): -552 meV per atom

a = 7.263 Å, b = 9.253 Å, c = 3.487 Å
α = 90.00°, β = 90.00°, γ = 90.00°
Space group Cmmm (No. 65)
Unique sites:
Lu (0.000, 0.200, 0.000) [4 per cell]
Al (0.180, 0.500, 0.000) [4 per cell]
B (0.000, 0.407, 0.500) [4 per cell]
B (0.121, 0.000, 0.500) [4 per cell]
B (0.223, 0.340, 0.500) [8 per cell]